No. 1
Mn3AsO8 | the Materials Project database | PBE+U | optimized geometry; calculated total energy = -6.780 eV per atom; energy of formation from the pure elements = -1.68 eV/atom
1.0
-7.293 -4.619 -3.050
3.945 -10.184 5.989
-2.655 1.431 4.182
O Mn As
32 12 4
Direct
0.160 0.250 0.559
0.413 0.362 0.681
0.913 0.362 0.819
0.130 0.091 0.181
0.605 0.995 0.832
0.630 0.091 0.319
0.895 0.005 0.332
0.130 0.409 0.181
0.913 0.138 0.819
0.590 0.750 0.798
0.870 0.909 0.819
0.587 0.862 0.319
0.410 0.250 0.202
0.087 0.862 0.181
0.660 0.250 0.941
0.340 0.750 0.059
0.105 0.505 0.668
0.395 0.495 0.168
0.895 0.495 0.332
0.105 0.995 0.668
0.587 0.638 0.319
0.630 0.409 0.319
0.840 0.750 0.441
0.087 0.638 0.181
0.090 0.750 0.702
0.395 0.005 0.168
0.413 0.138 0.681
0.605 0.505 0.832
0.870 0.591 0.819
0.370 0.909 0.681
0.370 0.591 0.681
0.910 0.250 0.298
0.026 0.382 0.470
0.000 0.500 0.000
0.000 0.000 0.000
0.526 0.118 0.030
0.526 0.382 0.030
0.974 0.618 0.530
0.974 0.882 0.530
0.026 0.118 0.470
0.474 0.882 0.970
0.500 0.500 0.500
0.474 0.618 0.970
0.500 0.000 0.500
0.849 0.250 0.978
0.651 0.750 0.478
0.151 0.750 0.022
0.349 0.250 0.522

=====

No. 2
Mn2As2O7 | the Materials Project database | PBE+U | optimized geometry; distance to the lowest polymorph of the same formula = 2 meV per atom; calculated total energy = -6.823 eV per atom; maximum piezoelectric response = 0.620 C/m²; energy of formation from the pure elements = -1.90 eV/atom
1.0
-3.848 2.894 0.868
3.963 3.286 2.286
0.385 0.878 -5.550
O Mn As
7 2 2
Direct
0.296 0.599 0.919
0.720 0.381 0.064
0.712 0.084 0.403
0.007 0.959 0.045
0.782 0.613 0.602
0.288 0.938 0.621
0.225 0.402 0.391
0.504 0.314 0.688
0.504 0.697 0.306
0.908 0.227 0.232
0.101 0.770 0.775

=====

No. 3
Mn2AsO5 | the Materials Project database | PBE+U | optimized geometry; calculated total energy = -7.074 eV per atom; energy of formation from the pure elements = -1.95 eV/atom
1.0
0.000 0.000 6.149
8.770 0.000 0.000
0.000 8.625 0.000
O As Mn
20 4 8
Direct
0.500 0.393 0.904
0.500 0.607 0.096
0.500 0.083 0.867
0.500 0.428 0.374
0.272 0.271 0.648
0.000 0.893 0.596
0.000 0.417 0.367
0.728 0.271 0.648
0.728 0.729 0.352
0.500 0.917 0.133
0.272 0.729 0.352
0.772 0.771 0.852
0.000 0.107 0.404
0.000 0.928 0.126
0.228 0.771 0.852
0.000 0.072 0.874
0.228 0.229 0.148
0.500 0.572 0.626
0.000 0.583 0.633
0.772 0.229 0.148
0.000 0.757 0.738
0.000 0.243 0.262
0.500 0.257 0.762
0.500 0.743 0.238
0.000 0.130 0.649
0.500 0.630 0.851
0.260 0.500 0.500
0.000 0.870 0.351
0.500 0.370 0.149
0.760 0.000 0.000
0.740 0.500 0.500
0.240 0.000 0.000

=====

No. 4
MnAsO4 | the Materials Project database | PBE+U | optimized geometry; calculated total energy = -6.662 eV per atom; energy of formation from the pure elements = -1.80 eV/atom
1.0
0.000 0.000 5.075
6.148 0.000 0.000
0.000 10.282 0.000
As O Mn
4 16 4
Direct
0.426 0.250 0.099
0.074 0.250 0.599
0.574 0.750 0.901
0.926 0.750 0.401
0.853 0.750 0.564
0.765 0.538 0.323
0.262 0.750 0.383
0.235 0.038 0.677
0.765 0.962 0.323
0.265 0.038 0.177
0.238 0.750 0.883
0.353 0.250 0.936
0.762 0.250 0.117
0.265 0.462 0.177
0.735 0.962 0.823
0.735 0.538 0.823
0.647 0.750 0.064
0.235 0.462 0.677
0.738 0.250 0.617
0.147 0.250 0.436
0.938 0.250 0.281
0.562 0.250 0.781
0.062 0.750 0.719
0.438 0.750 0.219

=====

No. 5
Mn3As2O14 | the Materials Project database | PBE+U | optimized geometry; calculated total energy = -5.952 eV per atom; energy of formation from the pure elements = -1.14 eV/atom
1.0
-2.921 4.562 -0.214
-0.579 -2.741 4.652
7.864 4.916 2.740
O Mn As
14 3 2
Direct
0.160 0.902 0.149
0.647 0.396 0.154
0.346 0.613 0.847
0.341 0.127 0.906
0.562 0.063 0.371
0.654 0.434 0.601
0.276 0.368 0.391
0.116 0.263 0.594
0.158 0.368 0.075
0.387 0.921 0.629
0.831 0.638 0.924
0.050 0.919 0.454
0.828 0.096 0.844
0.654 0.885 0.099
0.390 0.221 0.511
0.995 0.004 0.999
0.496 0.505 0.001
0.487 0.934 0.797
0.497 0.074 0.200

=====

No. 6
MnAsO4 | the Materials Project database | PBE+U | optimized geometry; calculated total energy = -6.689 eV per atom; energy of formation from the pure elements = -1.82 eV/atom
1.0
-0.297 4.798 -1.011
-6.304 -0.362 2.727
3.434 1.941 8.197
O Mn As
16 4 4
Direct
0.297 0.788 0.380
0.308 0.064 0.122
0.313 0.488 0.124
0.192 0.436 0.622
0.692 0.936 0.878
0.808 0.564 0.378
0.797 0.288 0.120
0.418 0.272 0.370
0.082 0.228 0.870
0.187 0.012 0.624
0.918 0.772 0.130
0.203 0.712 0.880
0.582 0.728 0.630
0.813 0.988 0.376
0.703 0.212 0.620
0.687 0.512 0.876
0.500 0.500 0.500
0.000 0.500 0.000
0.500 0.000 0.500
0.000 0.000 0.000
0.463 0.283 0.179
0.037 0.217 0.679
0.537 0.717 0.821
0.963 0.783 0.321

=====

No. 7
MnAs2O6 | the Materials Project database | PBE+U | optimized geometry; calculated total energy = -6.542 eV per atom; energy of formation from the pure elements = -1.83 eV/atom
1.0
4.886 0.000 0.000
2.443 -4.232 9.570
0.000 -8.464 0.000
O As Mn
24 8 4
Direct
0.995 0.641 0.995
0.298 0.141 0.929
0.755 0.859 0.386
0.255 0.859 0.886
0.202 0.859 0.571
0.495 0.641 0.495
0.005 0.359 0.636
0.755 0.859 0.755
0.702 0.859 0.071
0.505 0.359 0.136
0.995 0.641 0.364
0.745 0.141 0.114
0.798 0.141 0.429
0.245 0.141 0.614
0.952 0.359 0.321
0.255 0.859 0.255
0.048 0.641 0.679
0.505 0.359 0.505
0.745 0.141 0.745
0.548 0.641 0.179
0.495 0.641 0.864
0.452 0.359 0.821
0.005 0.359 0.005
0.245 0.141 0.245
0.625 0.750 0.958
0.125 0.750 0.792
0.125 0.750 0.458
0.875 0.250 0.208
0.875 0.250 0.542
0.375 0.250 0.708
0.625 0.750 0.292
0.375 0.250 0.042
0.000 0.000 0.000
0.750 0.500 0.750
0.250 0.500 0.250
0.500 0.000 0.500

=====

No. 8
Mn2As2O7 | the Materials Project database | PBE+U | optimized geometry; distance to the lowest polymorph of the same formula = 0 meV per atom; calculated total energy = -6.825 eV per atom; energy of formation from the pure elements = -1.90 eV/atom
1.0
-0.008 -0.003 -4.902
-10.003 -4.468 2.277
-3.334 4.469 0.762
O Mn As
14 4 4
Direct
0.218 0.203 0.196
0.775 0.808 0.802
0.717 0.691 0.375
0.292 0.798 0.121
0.712 0.040 0.358
0.036 0.989 0.055
0.293 0.298 0.621
0.218 0.703 0.696
0.287 0.466 0.149
0.717 0.191 0.875
0.712 0.540 0.858
0.287 0.966 0.648
0.775 0.308 0.302
0.036 0.489 0.555
0.498 0.848 0.459
0.501 0.155 0.533
0.498 0.348 0.959
0.501 0.655 0.033
0.908 0.613 0.617
0.100 0.383 0.389
0.100 0.883 0.888
0.908 0.113 0.117

=====

No. 9
Mn2As2O9 | the Materials Project database | PBE+U | optimized geometry; calculated total energy = -6.309 eV per atom; energy of formation from the pure elements = -1.49 eV/atom
1.0
-8.942 11.070 1.722
-1.441 -2.124 6.172
4.413 2.285 8.228
As Mn O
8 8 36
Direct
0.686 0.895 0.547
0.814 0.895 0.047
0.422 0.599 0.159
0.578 0.401 0.841
0.186 0.105 0.953
0.078 0.599 0.659
0.314 0.105 0.453
0.922 0.401 0.341
0.747 0.319 0.135
0.753 0.319 0.635
0.253 0.681 0.865
0.889 0.835 0.407
0.611 0.835 0.907
0.111 0.165 0.593
0.247 0.681 0.365
0.389 0.165 0.093
0.485 0.034 0.231
0.673 0.473 0.459
0.917 0.703 0.126
0.842 0.137 0.836
0.583 0.703 0.626
0.774 0.699 0.569
0.152 0.802 0.661
0.294 0.032 0.312
0.206 0.032 0.812
0.226 0.301 0.431
0.627 0.464 0.974
0.274 0.301 0.931
0.015 0.034 0.731
0.515 0.966 0.769
0.373 0.536 0.026
0.127 0.536 0.526
0.873 0.464 0.474
0.342 0.863 0.664
0.083 0.297 0.874
0.652 0.198 0.839
0.534 0.690 0.127
0.827 0.473 0.959
0.327 0.527 0.541
0.985 0.966 0.269
0.417 0.297 0.374
0.173 0.527 0.041
0.658 0.137 0.336
0.794 0.968 0.188
0.706 0.968 0.688
0.726 0.699 0.069
0.158 0.863 0.164
0.848 0.198 0.339
0.466 0.310 0.873
0.034 0.310 0.373
0.966 0.690 0.627
0.348 0.802 0.161

=====

No. 10
MnAs2O4 | the Materials Project database | PBE+U | optimized geometry; calculated total energy = -6.598 eV per atom; energy of formation from the pure elements = -1.76 eV/atom
1.0
0.000 0.000 5.870
8.749 0.000 0.000
0.000 8.749 0.000
O Mn As
16 4 8
Direct
0.250 0.314 0.814
0.000 0.890 0.359
0.750 0.314 0.814
0.250 0.814 0.686
0.000 0.110 0.641
0.000 0.610 0.859
0.500 0.141 0.610
0.250 0.686 0.186
0.500 0.359 0.110
0.500 0.641 0.890
0.750 0.686 0.186
0.000 0.390 0.141
0.750 0.186 0.314
0.250 0.186 0.314
0.500 0.859 0.390
0.750 0.814 0.686
0.250 0.500 0.000
0.250 0.000 0.500
0.750 0.500 0.000
0.750 0.000 0.500
0.000 0.307 0.676
0.000 0.693 0.324
0.000 0.807 0.824
0.000 0.193 0.176
0.500 0.676 0.693
0.500 0.324 0.307
0.500 0.176 0.807
0.500 0.824 0.193

=====

No. 11
Mn7As2O16 | the Materials Project database | PBE+U | optimized geometry; calculated total energy = -7.018 eV per atom; energy of formation from the pure elements = -1.82 eV/atom
1.0
-4.695 -0.908 -1.960
-1.209 -6.037 7.823
-4.266 8.809 6.138
O Mn As
32 14 4
Direct
0.935 0.593 0.791
0.090 0.323 0.703
0.053 0.916 0.156
0.512 0.376 0.826
0.590 0.823 0.797
0.130 0.370 0.468
0.447 0.584 0.656
0.364 0.659 0.428
0.410 0.177 0.203
0.988 0.124 0.326
0.065 0.407 0.209
0.427 0.092 0.429
0.073 0.408 0.929
0.565 0.907 0.291
0.012 0.876 0.674
0.435 0.093 0.709
0.560 0.386 0.065
0.630 0.870 0.032
0.136 0.841 0.928
0.440 0.614 0.935
0.927 0.592 0.071
0.864 0.159 0.072
0.488 0.624 0.174
0.870 0.630 0.532
0.370 0.130 0.968
0.553 0.416 0.344
0.060 0.886 0.435
0.940 0.114 0.565
0.573 0.908 0.571
0.947 0.084 0.844
0.910 0.677 0.297
0.636 0.341 0.572
0.236 0.503 0.079
0.742 0.787 0.177
0.500 0.500 0.500
0.751 0.000 0.714
0.000 0.000 0.000
0.758 0.713 0.677
0.251 0.500 0.786
0.264 0.997 0.579
0.749 0.500 0.214
0.249 0.000 0.286
0.736 0.003 0.421
0.764 0.497 0.921
0.242 0.287 0.323
0.258 0.213 0.823
0.561 0.209 0.074
0.439 0.791 0.926
0.061 0.709 0.426
0.939 0.291 0.574

=====

Look up the energy of formation from the pure elements of the second one.
-1.90 eV/atom

=====

Look up the energy of formation from the pure elements of the sixth one.
-1.82 eV/atom

=====

Look up the calculated total energy of the eleventh one.
-7.018 eV per atom